Record 1
{"formula": "AlNiAg2F7", "functional": "PBE with a Hubbard U", "state": "optimized geometry", "corrected_energy_ev_per_fu": -56.02, "delta_e_f_kcal_per_mol_atoms": -57.50, "lattice": [[-3.6424, 5.0947, 3.8439], [3.6424, -5.0947, 3.8439], [3.6424, 5.0947, -3.8439]], "species": ["Al", "Al", "Ni", "Ni", "Ag", "Ag", "Ag", "Ag", "F", "F", "F", "F", "F", "F", "F", "F", "F", "F", "F", "F", "F", "F"], "fractional_positions": [[0.0000, 0.0000, 0.0000], [0.5000, 0.0000, 0.5000], [0.5000, 0.0000, 0.0000], [0.5000, 0.5000, 0.5000], [0.0000, 0.0000, 0.5000], [0.0000, 0.5000, 0.0000], [0.0000, 0.5000, 0.5000], [0.5000, 0.5000, 0.0000], [0.1270, 0.2112, 0.9158], [0.1840, 0.2510, 0.2912], [0.1840, 0.8928, 0.9331], [0.2047, 0.7888, 0.4158], [0.3899, 0.6399, 0.7500], [0.4598, 0.2510, 0.5669], [0.4598, 0.8928, 0.2088], [0.5402, 0.1072, 0.7912], [0.5402, 0.7490, 0.4331], [0.6101, 0.3601, 0.2500], [0.7953, 0.2112, 0.5842], [0.8160, 0.1072, 0.0669], [0.8160, 0.7490, 0.7088], [0.8730, 0.7888, 0.0842]]}

Record 2
{"formula": "Li7Mn5O12", "functional": "PBE with a Hubbard U", "state": "optimized geometry", "corrected_energy_ev_per_fu": -169.97, "delta_e_f_kcal_per_mol_atoms": -49.41, "lattice": [[5.9958, 0.0000, 0.0000], [1.1193, 7.5761, 0.0000], [2.4453, 1.8764, 9.6972]], "species": ["Li", "Li", "Li", "Li", "Li", "Li", "Li", "Li", "Li", "Li", "Li", "Li", "Li", "Li", "Mn", "Mn", "Mn", "Mn", "Mn", "Mn", "Mn", "Mn", "Mn", "Mn", "O", "O", "O", "O", "O", "O", "O", "O", "O", "O", "O", "O", "O", "O", "O", "O", "O", "O", "O", "O", "O", "O", "O", "O"], "fractional_positions": [[0.0000, 0.0000, 0.0000], [0.9998, 0.0002, 0.5000], [0.1547, 0.3439, 0.0042], [0.1684, 0.3380, 0.4988], [0.3361, 0.6597, 0.0065], [0.3381, 0.6615, 0.5080], [0.4950, 0.4982, 0.2531], [0.4987, 0.0006, 0.5004], [0.4998, 0.0002, 0.0002], [0.5047, 0.5022, 0.7470], [0.6621, 0.3388, 0.4919], [0.6642, 0.3406, 0.9936], [0.8323, 0.6623, 0.5011], [0.8464, 0.6560, 0.9956], [0.0002, 0.4992, 0.7511], [0.9996, 0.5009, 0.2490], [0.1761, 0.8259, 0.7497], [0.1773, 0.8308, 0.2483], [0.3288, 0.1703, 0.7516], [0.3320, 0.1700, 0.2532], [0.6679, 0.8304, 0.7469], [0.6711, 0.8300, 0.2484], [0.8227, 0.1695, 0.7517], [0.8241, 0.1740, 0.2502], [0.0212, 0.7339, 0.6337], [0.0215, 0.7388, 0.1319], [0.1382, 0.0829, 0.6470], [0.1569, 0.5945, 0.3620], [0.1596, 0.5851, 0.8657], [0.1803, 0.0713, 0.1356], [0.2993, 0.4117, 0.6437], [0.2991, 0.4128, 0.1418], [0.3186, 0.9196, 0.3679], [0.3201, 0.9239, 0.8655], [0.4776, 0.7619, 0.1424], [0.4851, 0.2395, 0.3745], [0.5149, 0.7610, 0.6256], [0.5221, 0.2384, 0.8577], [0.6798, 0.0763, 0.1345], [0.6814, 0.0809, 0.6321], [0.7009, 0.5875, 0.8583], [0.7006, 0.5886, 0.3563], [0.8199, 0.9291, 0.8643], [0.8406, 0.4150, 0.1342], [0.8429, 0.4058, 0.6381], [0.8621, 0.9172, 0.3528], [0.9784, 0.2613, 0.8681], [0.9789, 0.2662, 0.3663]]}

Record 3
{"formula": "Mn2ZnO4", "functional": "PBE with a Hubbard U", "state": "optimized geometry", "corrected_energy_ev_per_fu": -53.11, "delta_e_f_kcal_per_mol_atoms": -45.25, "lattice": [[-3.0764, 3.0764, 4.1693], [3.0764, -3.0764, 4.1693], [3.0764, 3.0764, -4.1693]], "species": ["Mn", "Mn", "Mn", "Mn", "Zn", "Zn", "O", "O", "O", "O", "O", "O", "O", "O"], "fractional_positions": [[0.0000, 0.0000, 0.0000], [0.5000, 0.0000, 0.0000], [0.5000, 0.0000, 0.5000], [0.5000, 0.5000, 0.5000], [0.1250, 0.3750, 0.7500], [0.8750, 0.6250, 0.2500], [0.2375, 0.2477, 0.4553], [0.2523, 0.2076, 0.9898], [0.2822, 0.7375, 0.4898], [0.2924, 0.7822, 0.0447], [0.7076, 0.2178, 0.9553], [0.7178, 0.2625, 0.5102], [0.7477, 0.7924, 0.0102], [0.7625, 0.7523, 0.5447]]}

Record 4
{"formula": "Li6V3P8O29", "functional": "PBE with a Hubbard U", "state": "optimized geometry", "corrected_energy_ev_per_fu": -347.74, "delta_e_f_kcal_per_mol_atoms": -61.28, "lattice": [[9.8052, 0.0000, 0.0000], [4.8993, 8.5662, 0.0000], [0.0074, 0.0769, 13.9392]], "species": ["Li", "Li", "Li", "Li", "Li", "Li", "Li", "Li", "Li", "Li", "Li", "Li", "V", "V", "V", "V", "V", "V", "P", "P", "P", "P", "P", "P", "P", "P", "P", "P", "P", "P", "P", "P", "P", "P", "O", "O", "O", "O", "O", "O", "O", "O", "O", "O", "O", "O", "O", "O", "O", "O", "O", "O", "O", "O", "O", "O", "O", "O", "O", "O", "O", "O", "O", "O", "O", "O", "O", "O", "O", "O", "O", "O", "O", "O", "O", "O", "O", "O", "O", "O", "O", "O", "O", "O", "O", "O", "O", "O", "O", "O", "O", "O"], "fractional_positions": [[0.0000, 0.0000, 0.0000], [0.0018, 0.0002, 0.4999], [0.0138, 0.5589, 0.0565], [0.0160, 0.4232, 0.5557], [0.1071, 0.6478, 0.6774], [0.1105, 0.2412, 0.1768], [0.2472, 0.6482, 0.1776], [0.4300, 0.5590, 0.5564], [0.4316, 0.0121, 0.0571], [0.5582, 0.0119, 0.5572], [0.5630, 0.4229, 0.0557], [0.6502, 0.2412, 0.6768], [0.3340, 0.9018, 0.8621], [0.3380, 0.7681, 0.3671], [0.7657, 0.3341, 0.8634], [0.7661, 0.9017, 0.3621], [0.8958, 0.7683, 0.8672], [0.9025, 0.3341, 0.3635], [0.9998, 0.9982, 0.7428], [0.0041, 0.9982, 0.2428], [0.0138, 0.5671, 0.2747], [0.0171, 0.4206, 0.7730], [0.1035, 0.6537, 0.4585], [0.1051, 0.2426, 0.9578], [0.2452, 0.6534, 0.9586], [0.2465, 0.1040, 0.4566], [0.4214, 0.5670, 0.7747], [0.4216, 0.0156, 0.2721], [0.5650, 0.0153, 0.7723], [0.5649, 0.4205, 0.2731], [0.6515, 0.1041, 0.9566], [0.6543, 0.2425, 0.4579], [0.6644, 0.6666, 0.9890], [0.6712, 0.6662, 0.4890], [0.0019, 0.8471, 0.7835], [0.0017, 0.9936, 0.6353], [0.0029, 0.4155, 0.2749], [0.0061, 0.9944, 0.1353], [0.0074, 0.1473, 0.2790], [0.0779, 0.2509, 0.4548], [0.0810, 0.6678, 0.9596], [0.0858, 0.3390, 0.6818], [0.0900, 0.3352, 0.0467], [0.0905, 0.5744, 0.5475], [0.0925, 0.5784, 0.1847], [0.1235, 0.3320, 0.8658], [0.1237, 0.5464, 0.3665], [0.1478, 0.9968, 0.7875], [0.1526, 0.8468, 0.2831], [0.2221, 0.9604, 0.4418], [0.2248, 0.8178, 0.9432], [0.2532, 0.6683, 0.4592], [0.2543, 0.0808, 0.9586], [0.3254, 0.1266, 0.3610], [0.3314, 0.5784, 0.6848], [0.3320, 0.0909, 0.1818], [0.3324, 0.5460, 0.8666], [0.3377, 0.5747, 0.0477], [0.3396, 0.0952, 0.5421], [0.4199, 0.5854, 0.2776], [0.4204, 0.9965, 0.7773], [0.4288, 0.8569, 0.2899], [0.4380, 0.7113, 0.7914], [0.5155, 0.8179, 0.9473], [0.5187, 0.6656, 0.4478], [0.5469, 0.3318, 0.3658], [0.5503, 0.1268, 0.8610], [0.5670, 0.0954, 0.0420], [0.5767, 0.3351, 0.5468], [0.5773, 0.3392, 0.1819], [0.5794, 0.0904, 0.6818], [0.5840, 0.4155, 0.7748], [0.5854, 0.9953, 0.2768], [0.6624, 0.5198, 0.9488], [0.6655, 0.6682, 0.5957], [0.6668, 0.0808, 0.4586], [0.6691, 0.6685, 0.0956], [0.6686, 0.8175, 0.4470], [0.6734, 0.2510, 0.9548], [0.7155, 0.8563, 0.7901], [0.7186, 0.4265, 0.2955], [0.8172, 0.6667, 0.9474], [0.8204, 0.5196, 0.4488], [0.8196, 0.9603, 0.9421], [0.8211, 0.2197, 0.4418], [0.8475, 0.1473, 0.7789], [0.8530, 0.7113, 0.2913], [0.8573, 0.4265, 0.7956], [0.8572, 0.9971, 0.2877], [0.9593, 0.8180, 0.4433], [0.9613, 0.2197, 0.9416], [0.9970, 0.5856, 0.7772]]}

Record 5
{"formula": "HoCr2O2", "functional": "PBE with a Hubbard U", "state": "optimized geometry", "corrected_energy_ev_per_fu": -39.30, "delta_e_f_kcal_per_mol_atoms": -25.44, "lattice": [[-4.4593, 4.4593, 4.7823], [4.4593, -4.4593, 4.7823], [4.4593, 4.4593, -4.7823]], "species": ["Ho", "Ho", "Ho", "Ho", "Cr", "Cr", "Cr", "Cr", "Cr", "Cr", "Cr", "Cr", "O", "O", "O", "O", "O", "O", "O", "O"], "fractional_positions": [[0.0000, 0.0000, 0.0000], [0.0000, 0.0000, 0.5000], [0.0000, 0.5000, 0.0000], [0.5000, 0.0000, 0.5000], [0.0872, 0.6422, 0.4451], [0.3029, 0.3578, 0.9451], [0.3578, 0.3029, 0.4451], [0.3578, 0.9128, 0.0549], [0.6422, 0.0872, 0.9451], [0.6422, 0.6971, 0.5549], [0.6971, 0.6422, 0.0549], [0.9128, 0.3578, 0.5549], [0.2035, 0.3001, 0.5966], [0.2035, 0.6068, 0.9034], [0.3001, 0.2035, 0.0966], [0.3932, 0.7965, 0.5966], [0.6068, 0.2035, 0.4034], [0.6999, 0.7965, 0.9034], [0.7965, 0.3932, 0.0966], [0.7965, 0.6999, 0.4034]]}

Record 6
{"formula": "MgFeO2", "functional": "PBE with a Hubbard U", "state": "optimized geometry", "corrected_energy_ev_per_fu": -28.24, "delta_e_f_kcal_per_mol_atoms": -47.72, "lattice": [[2.9760, 0.0000, 0.0000], [-1.4865, 8.2972, 0.0000], [-1.4581, -0.4248, 8.3834]], "species": ["Mg", "Mg", "Mg", "Mg", "Fe", "Fe", "Fe", "Fe", "O", "O", "O", "O", "O", "O", "O", "O"], "fractional_positions": [[0.0000, 0.0000, 0.0000], [0.1535, 0.8534, 0.4338], [0.3735, 0.6435, 0.0958], [0.7791, 0.2106, 0.3379], [0.1697, 0.3146, 0.0150], [0.3979, 0.1208, 0.6631], [0.7544, 0.7295, 0.7721], [0.9835, 0.5392, 0.4195], [0.1606, 0.6926, 0.6178], [0.3765, 0.3605, 0.3841], [0.3816, 0.8208, 0.9406], [0.5297, 0.7190, 0.3200], [0.6239, 0.1348, 0.1135], [0.7714, 0.0327, 0.4932], [0.7741, 0.4948, 0.0443], [0.9916, 0.1590, 0.8161]]}